This record from the Materials Project database describes a relaxed Ca2HoF7 crystal. The functional is GGA-PBE.

Output
- calculated volume (A^3/atom) = 14.4
- ρ (kg/m3) = 4354
- final energy (eV/atom) = -5.990
- total moment (μB/f.u.) = 0.0
- symmetry = Cm, No. 8

Cell: 4.305 4.305 30.336 Å, 95.39 95.39 50.68°
Atoms (fractional coordinates):
1 Ca 0.000 0.000 0.000
2 Ca 0.050 0.050 0.543
3 Ca 0.216 0.216 0.787
4 Ca 0.509 0.509 0.874
5 Ca 0.621 0.621 0.422
6 Ca 0.634 0.634 0.665
7 Ho 0.350 0.350 0.327
8 Ho 0.477 0.477 0.110
9 Ho 0.914 0.914 0.218
10 F 0.060 0.060 0.156
11 F 0.060 0.060 0.468
12 F 0.187 0.187 0.866
13 F 0.191 0.191 0.240
14 F 0.218 0.218 0.712
15 F 0.290 0.290 0.993
16 F 0.308 0.308 0.407
17 F 0.354 0.354 0.533
18 F 0.398 0.398 0.182
19 F 0.503 0.503 0.265
20 F 0.535 0.535 0.782
21 F 0.538 0.538 0.941
22 F 0.599 0.599 0.045
23 F 0.636 0.636 0.590
24 F 0.643 0.643 0.345
25 F 0.748 0.748 0.133
26 F 0.850 0.850 0.290
27 F 0.863 0.863 0.826
28 F 0.927 0.927 0.071
29 F 0.937 0.937 0.655
30 F 0.972 0.972 0.372



This record from the Materials Project database describes a relaxed Sr8Ca3NdTl2Cu8Pb2O28 crystal. The functional is GGA-PBE.

Output
- calculated volume (A^3/atom) = 13.7
- ρ (kg/m3) = 6401
- final energy (eV/atom) = -5.749
- total moment (μB/f.u.) = 0.0
- symmetry = Fmmm, No. 69

Cell: 13.399 13.398 7.619 Å, 73.48 73.48 33.04°
Atoms (fractional coordinates):
1 Sr 0.143 0.143 0.357
2 Sr 0.143 0.143 0.857
3 Sr 0.355 0.355 0.645
4 Sr 0.357 0.357 0.143
5 Sr 0.643 0.643 0.857
6 Sr 0.645 0.645 0.355
7 Sr 0.857 0.857 0.143
8 Sr 0.857 0.857 0.643
9 Ca 0.000 0.000 0.000
10 Ca 0.000 0.000 0.500
11 Ca 0.500 0.500 0.000
12 Nd 0.500 0.500 0.500
13 Tl 0.000 0.500 0.500
14 Tl 0.500 0.000 0.000
15 Cu 0.179 0.682 0.821
16 Cu 0.180 0.683 0.317
17 Cu 0.317 0.820 0.180
18 Cu 0.318 0.821 0.682
19 Cu 0.682 0.179 0.318
20 Cu 0.683 0.180 0.820
21 Cu 0.820 0.317 0.683
22 Cu 0.821 0.318 0.179
23 Pb 0.000 0.500 0.000
24 Pb 0.500 0.000 0.500
25 O 0.064 0.064 0.187
26 O 0.064 0.064 0.684
27 O 0.086 0.585 0.415
28 O 0.088 0.587 0.912
29 O 0.187 0.684 0.064
30 O 0.187 0.685 0.564
31 O 0.250 0.250 0.250
32 O 0.250 0.250 0.750
33 O 0.315 0.813 0.436
34 O 0.316 0.813 0.936
35 O 0.413 0.912 0.587
36 O 0.415 0.914 0.086
37 O 0.436 0.436 0.315
38 O 0.436 0.436 0.813
39 O 0.564 0.564 0.187
40 O 0.564 0.564 0.685
41 O 0.585 0.086 0.914
42 O 0.587 0.088 0.413
43 O 0.684 0.187 0.064
44 O 0.685 0.187 0.564
45 O 0.750 0.750 0.250
46 O 0.750 0.750 0.750
47 O 0.813 0.315 0.436
48 O 0.813 0.316 0.936
49 O 0.912 0.413 0.088
50 O 0.914 0.415 0.585
51 O 0.936 0.936 0.316
52 O 0.936 0.936 0.813



Q: Number 2 is which compound?
A: Sr8Ca3NdTl2Cu8Pb2O28